Material: Na6Mg4Nb4Si5S7O48
Method: DFT, GGA-PBE
State: optimized geometry

abc: 8.8898 15.3803 22.8122
angles: 90.12 90.05 90.03
Fractional coordinates of all 222 atoms:
1 Na 0.0000 0.0000 0.0000
2 Na 0.9999 0.3222 0.8309
3 Na 0.0037 0.6724 0.1742
4 Na 0.0075 0.9916 0.5023
5 Na 0.0175 0.6676 0.6743
6 Na 0.0202 0.3208 0.3352
7 Na 0.1357 0.4934 0.2506
8 Na 0.3801 0.9936 0.7506
9 Na 0.4906 0.1654 0.1719
10 Na 0.4937 0.8277 0.8294
11 Na 0.5031 0.4910 0.9987
12 Na 0.5095 0.1658 0.6795
13 Na 0.5101 0.8252 0.3321
14 Na 0.5107 0.4987 0.5035
15 Na 0.6304 0.9919 0.2503
16 Na 0.6381 0.6635 0.9175
17 Na 0.8704 0.1632 0.4197
18 Na 0.8793 0.4922 0.7503
19 Mg 0.0027 0.3216 0.9796
20 Mg 0.0062 0.3288 0.4845
21 Mg 0.0058 0.6689 0.3114
22 Mg 0.0159 0.3185 0.1862
23 Mg 0.0160 0.6629 0.8153
24 Mg 0.4929 0.1624 0.3159
25 Mg 0.4957 0.8237 0.6901
26 Mg 0.5017 0.8314 0.9824
27 Mg 0.5057 0.8244 0.4818
28 Mg 0.5087 0.1635 0.8081
29 Mg 0.5117 0.8283 0.1890
30 Mg 0.9965 0.3271 0.6891
31 Nb 0.0000 0.9895 0.3580
32 Nb 0.0008 0.9906 0.1426
33 Nb 0.0036 0.9934 0.6547
34 Nb 0.0036 0.9963 0.8472
35 Nb 0.0055 0.6589 0.5273
36 Nb 0.0083 0.6571 0.0142
37 Nb 0.4943 0.4970 0.3522
38 Nb 0.4954 0.4919 0.1500
39 Nb 0.4992 0.1539 0.5172
40 Nb 0.5027 0.1555 0.0241
41 Nb 0.5088 0.4892 0.8575
42 Nb 0.5088 0.4909 0.6432
43 Si 0.1420 0.1870 0.0833
44 Si 0.1513 0.8388 0.7514
45 Si 0.1531 0.1487 0.7502
46 Si 0.2088 0.1671 0.4134
47 Si 0.3024 0.6666 0.9130
48 Si 0.3544 0.3389 0.2512
49 Si 0.3541 0.6478 0.2502
50 Si 0.3720 0.6877 0.5838
51 Si 0.6373 0.0086 0.4117
52 Si 0.6429 0.9643 0.0850
53 Si 0.6521 0.3450 0.7498
54 Si 0.7038 0.9906 0.7506
55 Si 0.8575 0.8441 0.2497
56 Si 0.8650 0.4634 0.5848
57 Si 0.8705 0.5082 0.9114
58 S 0.1452 0.5159 0.4160
59 S 0.1467 0.4730 0.0844
60 S 0.1526 0.8022 0.4168
61 S 0.2164 0.8244 0.0838
62 S 0.2175 0.4942 0.7503
63 S 0.2916 0.9943 0.2504
64 S 0.2930 0.3247 0.5836
65 S 0.3577 0.3016 0.9164
66 S 0.3577 0.9717 0.5834
67 S 0.3596 0.0151 0.9163
68 S 0.6484 0.3067 0.4165
69 S 0.6476 0.6387 0.7510
70 S 0.6521 0.6809 0.0838
71 S 0.7172 0.3286 0.0839
72 S 0.7175 0.6606 0.4154
73 S 0.7921 0.4921 0.2507
74 S 0.7923 0.8302 0.5830
75 S 0.7926 0.1605 0.9161
76 S 0.8580 0.1809 0.5826
77 S 0.8603 0.8073 0.9166
78 S 0.8610 0.1399 0.2509
79 O 0.0591 0.7511 0.7534
80 O 0.0696 0.2381 0.7444
81 O 0.0707 0.2218 0.0246
82 O 0.0719 0.0926 0.8071
83 O 0.0765 0.8969 0.6940
84 O 0.0781 0.7644 0.4695
85 O 0.0786 0.8924 0.4115
86 O 0.0832 0.5643 0.0782
87 O 0.0852 0.0839 0.0958
88 O 0.0865 0.4386 0.1393
89 O 0.0869 0.4283 0.4232
90 O 0.0884 0.2428 0.4262
91 O 0.0877 0.5561 0.3624
92 O 0.1082 0.0741 0.4094
93 O 0.1080 0.7484 0.0770
94 O 0.1114 0.9102 0.8076
95 O 0.1139 0.0783 0.6940
96 O 0.1158 0.9045 0.0899
97 O 0.1190 0.5710 0.7544
98 O 0.1211 0.7510 0.3645
99 O 0.1216 0.5719 0.4686
100 O 0.1238 0.4217 0.0322
101 O 0.1283 0.4146 0.7467
102 O 0.1359 0.2404 0.1427
103 O 0.1751 0.3501 0.2486
104 O 0.1766 0.6351 0.2561
105 O 0.1788 0.6706 0.5705
106 O 0.1850 0.6480 0.9737
107 O 0.1903 0.0092 0.9149
108 O 0.1906 0.9860 0.5875
109 O 0.1931 0.6804 0.8604
110 O 0.1926 0.9866 0.3036
111 O 0.1950 0.0064 0.1977
112 O 0.1972 0.3162 0.9243
113 O 0.2063 0.3106 0.6364
114 O 0.2069 0.3390 0.5301
115 O 0.3024 0.8381 0.0308
116 O 0.3033 0.8104 0.1372
117 O 0.3128 0.8158 0.4242
118 O 0.3140 0.1817 0.3595
119 O 0.3144 0.5065 0.6977
120 O 0.3168 0.4866 0.8037
121 O 0.3193 0.4854 0.0904
122 O 0.3198 0.5091 0.4116
123 O 0.3243 0.1486 0.4735
124 O 0.3294 0.1383 0.7571
125 O 0.3295 0.8467 0.7482
126 O 0.3325 0.1707 0.0702
127 O 0.3804 0.7428 0.6420
128 O 0.3810 0.9145 0.2469
129 O 0.3876 0.9217 0.5306
130 O 0.3902 0.2506 0.8645
131 O 0.3907 0.0710 0.2544
132 O 0.3916 0.0721 0.9701
133 O 0.3938 0.4048 0.5895
134 O 0.4011 0.2490 0.5757
135 O 0.4013 0.5765 0.1951
136 O 0.4023 0.4117 0.3064
137 O 0.4017 0.5739 0.9102
138 O 0.4203 0.0565 0.8642
139 O 0.4208 0.7423 0.9271
140 O 0.4223 0.9391 0.6374
141 O 0.4243 0.5839 0.5955
142 O 0.4245 0.9289 0.9248
143 O 0.4280 0.0642 0.5760
144 O 0.4305 0.3986 0.1941
145 O 0.4312 0.2650 0.9701
146 O 0.4310 0.3927 0.9116
147 O 0.4349 0.5905 0.3073
148 O 0.4365 0.7371 0.2446
149 O 0.4381 0.7208 0.5235
150 O 0.4468 0.2519 0.2529
151 O 0.5667 0.2564 0.7547
152 O 0.5708 0.9370 0.1460
153 O 0.5752 0.4026 0.6947
154 O 0.5751 0.9148 0.4253
155 O 0.5774 0.3958 0.4113
156 O 0.5786 0.2666 0.4704
157 O 0.5796 0.7236 0.7456
158 O 0.5811 0.5974 0.8058
159 O 0.5829 0.0693 0.0716
160 O 0.5875 0.5888 0.0917
161 O 0.5883 0.0597 0.3546
162 O 0.5881 0.7141 0.0294
163 O 0.6067 0.4134 0.8067
164 O 0.6076 0.0766 0.7563
165 O 0.6111 0.9030 0.7440
166 O 0.6125 0.2515 0.0766
167 O 0.6126 0.4076 0.0914
168 O 0.6151 0.5814 0.6991
169 O 0.6172 0.0788 0.4714
170 O 0.6176 0.7347 0.4216
171 O 0.6210 0.5770 0.4102
172 O 0.6225 0.7330 0.1360
173 O 0.6229 0.2535 0.3646
174 O 0.6258 0.9116 0.0262
175 O 0.6772 0.5085 0.9105
176 O 0.6787 0.4852 0.5933
177 O 0.6786 0.8493 0.2481
178 O 0.6879 0.1712 0.5760
179 O 0.6941 0.4801 0.3037
180 O 0.6945 0.5058 0.1976
181 O 0.6954 0.1490 0.9704
182 O 0.6962 0.1429 0.2554
183 O 0.6980 0.1688 0.8647
184 O 0.6978 0.8144 0.9260
185 O 0.7053 0.8422 0.5297
186 O 0.7088 0.8141 0.6361
187 O 0.8033 0.3157 0.1377
188 O 0.8036 0.3440 0.0312
189 O 0.8112 0.6467 0.4692
190 O 0.8118 0.3159 0.4244
191 O 0.8124 0.6412 0.7555
192 O 0.8118 0.6677 0.3633
193 O 0.8209 0.6700 0.0783
194 O 0.8233 0.0062 0.6939
195 O 0.8238 0.9793 0.8078
196 O 0.8301 0.9853 0.0939
197 O 0.8309 0.3508 0.7480
198 O 0.8317 0.0086 0.4097
199 O 0.8837 0.4128 0.5251
200 O 0.8844 0.4138 0.2437
201 O 0.8855 0.2330 0.6346
202 O 0.8859 0.7530 0.8655
203 O 0.8871 0.5694 0.2571
204 O 0.8882 0.0785 0.9140
205 O 0.8900 0.2363 0.9231
206 O 0.8916 0.5788 0.9717
207 O 0.8944 0.0834 0.1990
208 O 0.8968 0.7502 0.5747
209 O 0.8988 0.9063 0.5879
210 O 0.9043 0.9117 0.3067
211 O 0.9193 0.2169 0.5279
212 O 0.9211 0.5600 0.8550
213 O 0.9231 0.0903 0.5879
214 O 0.9265 0.5689 0.5708
215 O 0.9273 0.2266 0.2458
216 O 0.9284 0.0992 0.3055
217 O 0.9298 0.7634 0.9714
218 O 0.9344 0.8940 0.9148
219 O 0.9347 0.4155 0.9265
220 O 0.9354 0.9014 0.1949
221 O 0.9373 0.7524 0.2538
222 O 0.9388 0.4364 0.6453

Values from the calculation:
Space group: No. 1
Total moment: 0.000 μB per atom
Energy of formation: -2533 meV per atom